The following is a PBE calculation of a relaxed Nd2O3 crystal, from the Materials Project database.

Total energy after the MP2020 corrections (eV per cell): -346.303
Total DFT energy (no corrections) (eV for the cell shown): -329.8

Structure (POSCAR):
```
Nd2O3
1.0
-4.2830 4.2541 7.5710
-3.0714 4.1447 -8.1945
-2.2471 -9.4181 -0.1074
O Nd
24 16
Cartesian
-3.3250 -5.0058 -3.8672
-5.8384 0.3476 -2.3623
-6.1287 3.8697 -0.1794
-1.2877 0.8242 1.9490
-6.2765 3.9864 3.1363
-8.5702 -2.2003 1.1869
-4.4339 -1.2506 5.4631
-1.0313 1.1810 -1.9178
-5.1170 -5.9758 1.7970
-8.3138 -1.8436 -2.6798
-6.1403 0.5367 1.3404
-3.4612 -1.5560 -2.0713
-5.6642 -2.7572 -0.3210
-3.9435 2.0595 -4.0589
-5.1677 0.2312 -6.1939
-5.6580 -3.0788 3.3280
-4.4821 1.5664 3.7047
-5.1195 -2.5857 -4.4355
-4.4846 4.9565 -2.5278
-0.7837 -2.3346 -0.2674
-3.4728 -4.8890 -0.5515
-8.8179 1.3153 -0.4635
-3.9374 1.7379 -0.4098
-3.7631 -1.3669 1.6315
-5.2674 -0.6446 3.3205
-5.1239 -3.6146 5.5786
-1.5357 2.0724 -4.0973
-2.1415 2.1270 3.7855
-4.3937 -3.7415 1.4267
-4.5181 -3.6692 -2.3042
-5.0834 2.6499 1.5734
-4.1898 -4.1140 -5.9967
-5.4117 3.0947 5.2659
-3.9220 -7.1561 -0.0077
-5.2078 2.7221 -2.1575
-1.1235 -4.7091 -0.0537
-5.6795 6.1368 -0.7231
-4.8008 -0.5097 -0.3654
-4.4776 2.5952 -6.3094
-4.3342 -0.3747 -4.0513
```